Arrangement i

{"formula": "TiAl2Br8", "functional": "PBE-GGA", "state": "relaxed", "cell": [[9.073, -1.065, 5.125], [9.259, 4.702, -1.371], [4.835, 8.615, 7.785]], "species": ["Br", "Br", "Br", "Br", "Al", "Br", "Ti", "Br", "Al", "Br", "Br", "Br", "Br", "Br", "Al", "Br", "Ti", "Br", "Br", "Br", "Al", "Br"], "frac_coords": [[0.165, 0.130, 0.485], [0.870, 0.835, 0.015], [0.130, 0.165, 0.985], [0.692, 0.143, 0.716], [0.841, 0.326, 0.972], [0.165, 0.709, 0.679], [0.003, 0.997, 0.750], [0.308, 0.857, 0.284], [0.674, 0.159, 0.528], [0.835, 0.870, 0.515], [0.694, 0.618, 0.949], [0.835, 0.291, 0.321], [0.306, 0.382, 0.051], [0.143, 0.692, 0.216], [0.159, 0.674, 0.028], [0.709, 0.165, 0.179], [0.997, 0.003, 0.250], [0.291, 0.835, 0.821], [0.382, 0.306, 0.551], [0.618, 0.694, 0.449], [0.326, 0.841, 0.472], [0.857, 0.308, 0.784]]}

=====

Arrangement ii

{"formula": "TiAl2Br8", "functional": "PBE-GGA", "state": "relaxed", "cell": [[6.403, 0.000, 0.000], [0.000, 10.469, 0.000], [0.000, 0.000, 13.513]], "species": ["Br", "Br", "Br", "Br", "Al", "Br", "Br", "Br", "Br", "Ti", "Ti", "Br", "Br", "Br", "Al", "Br", "Br", "Al", "Br", "Br", "Br", "Al"], "frac_coords": [[0.804, 0.000, 0.840], [0.754, 0.674, 0.090], [0.196, 0.000, 0.160], [0.246, 0.674, 0.910], [0.110, 0.000, 0.322], [0.696, 0.500, 0.340], [0.254, 0.826, 0.410], [0.740, 0.000, 0.333], [0.240, 0.500, 0.167], [0.500, 0.000, 0.500], [0.000, 0.500, 0.000], [0.260, 0.000, 0.667], [0.746, 0.826, 0.590], [0.254, 0.174, 0.410], [0.390, 0.500, 0.822], [0.304, 0.500, 0.660], [0.246, 0.326, 0.910], [0.610, 0.500, 0.178], [0.760, 0.500, 0.833], [0.754, 0.326, 0.090], [0.746, 0.174, 0.590], [0.890, 0.000, 0.678]]}

=====

Which structure is most stable? arrangement i, by 30 meV/atom over the runner-up.